Entry from Materials Project: a relaxed Sm3TiSb5 crystal (GGA-PBE).

Space group: No. 193
E_form, eV/f.u.: -8.952
Volume, A^3/atom: 26.36

Cell: 9.358 9.358 6.257 Å, 90.00 90.00 120.00°
Sites, in units of the cell vectors:
Sm 0.000 0.382 0.250
Sm 0.000 0.618 0.750
Sm 0.382 0.000 0.250
Sm 0.382 0.382 0.750
Sm 0.618 0.000 0.750
Sm 0.618 0.618 0.250
Ti 0.000 0.000 0.000
Ti 0.000 0.000 0.500
Sb 0.000 0.256 0.750
Sb 0.000 0.744 0.250
Sb 0.256 0.000 0.750
Sb 0.256 0.256 0.250
Sb 0.333 0.667 0.000
Sb 0.333 0.667 0.500
Sb 0.667 0.333 0.000
Sb 0.667 0.333 0.500
Sb 0.744 0.000 0.250
Sb 0.744 0.744 0.750

---

Entry from Materials Project: a relaxed Sm3ZrSb5 crystal (GGA-PBE).

Space group: No. 193
E_form, eV/f.u.: -9.422
Volume, A^3/atom: 27.15

Cell: 9.437 9.437 6.337 Å, 90.00 90.00 120.00°
Sites, in units of the cell vectors:
Sm 0.000 0.382 0.250
Sm 0.000 0.618 0.750
Sm 0.382 0.000 0.250
Sm 0.382 0.382 0.750
Sm 0.618 0.000 0.750
Sm 0.618 0.618 0.250
Zr 0.000 0.000 0.000
Zr 0.000 0.000 0.500
Sb 0.000 0.266 0.750
Sb 0.000 0.734 0.250
Sb 0.266 0.000 0.750
Sb 0.266 0.266 0.250
Sb 0.333 0.667 0.000
Sb 0.333 0.667 0.500
Sb 0.667 0.333 0.000
Sb 0.667 0.333 0.500
Sb 0.734 0.000 0.250
Sb 0.734 0.734 0.750

---

Entry from Materials Project: a relaxed SnSb crystal (GGA-PBE).

Space group: No. 160
E_form, eV/f.u.: 0.067
Volume, A^3/atom: 37.89

Cell: 4.476 4.476 4.476 Å, 69.32 69.32 69.32°
Sites, in units of the cell vectors:
Sn 0.000 0.000 0.000
Sb 0.287 0.287 0.287

---

Entry from Materials Project: a relaxed SnSb crystal (GGA-PBE).

Space group: No. 216
E_form, eV/f.u.: 0.147
Volume, A^3/atom: 41.39

Cell: 4.892 4.892 4.892 Å, 60.00 60.00 60.00°
Sites, in units of the cell vectors:
Sn 0.000 0.000 0.000
Sb 0.750 0.750 0.750